1.
Below is a relaxed Li3MnAl2O6 crystal, with properties calculated at the GGA+U level.

Structure (POSCAR):
```
Li3MnAl2O6
1.0
-5.894 -5.133 1.216
5.958 -5.192 1.193
-0.011 5.527 6.617
O Li Al Mn
24 12 8 4
Direct
0.054 0.226 0.758
0.604 0.288 0.573
0.803 0.481 0.255
0.303 0.981 0.255
0.535 0.891 0.080
0.272 0.136 0.579
0.896 0.212 0.427
0.228 0.364 0.421
0.554 0.726 0.758
0.197 0.519 0.745
0.465 0.109 0.920
0.035 0.391 0.080
0.697 0.019 0.745
0.772 0.636 0.579
0.728 0.864 0.421
0.104 0.788 0.573
0.650 0.470 0.920
0.446 0.274 0.242
0.350 0.530 0.080
0.946 0.774 0.242
0.965 0.609 0.920
0.396 0.712 0.427
0.850 0.030 0.080
0.150 0.970 0.920
0.450 0.790 0.243
0.456 0.622 0.917
0.289 0.635 0.597
0.544 0.378 0.083
0.211 0.865 0.403
0.789 0.135 0.597
0.044 0.878 0.083
0.050 0.710 0.757
0.950 0.290 0.243
0.711 0.365 0.403
0.550 0.210 0.757
0.956 0.122 0.917
0.122 0.297 0.581
0.378 0.203 0.419
0.875 0.542 0.087
0.125 0.458 0.913
0.622 0.797 0.581
0.625 0.958 0.913
0.878 0.703 0.419
0.375 0.042 0.087
0.205 0.034 0.742
0.295 0.466 0.258
0.705 0.534 0.742
0.795 0.966 0.258
```

Values from the calculation:
The formation energy comes out at -2.731 eV per atom. The calculation puts the total moment at 0.0 Bohr magnetons per cell.



2.
Below is a relaxed Li6MnAlO6 crystal, with properties calculated at the GGA+U level.

Structure (POSCAR):
```
Li6MnAlO6
1.0
4.560 2.805 0.000
-4.560 2.805 0.000
0.000 0.452 9.785
O Li Al Mn
12 12 2 2
Direct
0.064 0.718 0.367
0.315 0.375 0.373
0.625 0.685 0.127
0.666 0.958 0.362
0.718 0.064 0.867
0.958 0.666 0.862
0.042 0.334 0.138
0.375 0.315 0.873
0.334 0.042 0.638
0.282 0.936 0.133
0.936 0.282 0.633
0.685 0.625 0.627
0.685 0.627 0.427
0.380 0.068 0.419
0.060 0.684 0.578
0.932 0.620 0.081
0.316 0.940 0.922
0.068 0.380 0.919
0.315 0.373 0.573
0.373 0.315 0.073
0.684 0.060 0.078
0.620 0.932 0.581
0.940 0.316 0.422
0.627 0.685 0.927
0.661 0.339 0.750
0.339 0.661 0.250
0.997 0.003 0.750
0.003 0.997 0.250
```

Values from the calculation:
The formation energy comes out at -2.295 eV per atom. The calculation puts the total moment at 8.0 Bohr magnetons per cell.



3.
Below is a relaxed LiMnAlO3 crystal, with properties calculated at the GGA+U level.

Structure (POSCAR):
```
LiMnAlO3
1.0
-3.375 3.674 2.923
0.061 -0.075 5.817
8.010 5.263 -2.809
O Al Li Mn
12 4 4 4
Direct
0.181 0.272 0.394
0.093 0.150 0.795
0.907 0.850 0.205
0.191 0.756 0.975
0.681 0.772 0.894
0.809 0.244 0.025
0.819 0.728 0.606
0.691 0.256 0.475
0.407 0.350 0.705
0.593 0.650 0.295
0.309 0.744 0.525
0.319 0.228 0.106
0.854 0.918 0.036
0.354 0.418 0.536
0.646 0.582 0.464
0.146 0.082 0.964
0.421 0.506 0.118
0.079 0.994 0.382
0.921 0.006 0.618
0.579 0.494 0.882
0.033 0.532 0.782
0.467 0.968 0.718
0.967 0.468 0.218
0.533 0.032 0.282
```

Values from the calculation:
The formation energy comes out at -2.642 eV per atom. The calculation puts the total moment at 0.0 Bohr magnetons per cell.



4.
Below is a relaxed LiAlMo2O8 crystal, with properties calculated at the GGA+U level.

Structure (POSCAR):
```
LiAlMo2O8
1.0
6.726 0.000 0.000
-1.847 6.890 0.000
-2.621 -0.833 6.829
O Mo Al Li
16 4 2 2
Direct
0.757 0.579 0.541
0.758 0.041 0.551
0.979 0.376 0.849
0.243 0.421 0.459
0.622 0.057 0.835
0.774 0.271 0.239
0.378 0.943 0.165
0.411 0.513 0.169
0.812 0.868 0.219
0.242 0.959 0.449
0.021 0.624 0.151
0.926 0.849 0.893
0.074 0.151 0.107
0.188 0.132 0.781
0.589 0.487 0.831
0.226 0.729 0.761
0.323 0.969 0.711
0.677 0.031 0.289
0.164 0.421 0.207
0.836 0.579 0.793
0.089 0.900 0.176
0.911 0.100 0.824
0.265 0.445 0.748
0.735 0.555 0.252
```

Values from the calculation:
The formation energy comes out at -2.351 eV per atom. The calculation puts the total moment at 0.0 Bohr magnetons per cell.



5.
Below is a relaxed Li2AlNi3O6 crystal, with properties calculated at the GGA+U level.

Structure (POSCAR):
```
Li2AlNi3O6
1.0
4.370 2.455 -0.034
-0.059 5.013 0.034
1.366 -0.789 9.568
O Ni Al Li
12 6 2 4
Direct
0.447 0.201 0.620
0.822 0.520 0.611
0.720 0.948 0.889
0.201 0.447 0.380
0.302 0.010 0.109
0.107 0.898 0.614
0.948 0.720 0.111
0.400 0.624 0.878
0.520 0.822 0.389
0.624 0.400 0.122
0.010 0.302 0.891
0.898 0.107 0.386
0.743 0.251 0.749
0.498 0.498 0.500
0.999 0.999 0.000
0.251 0.743 0.251
0.334 0.334 0.000
0.832 0.832 0.500
0.172 0.172 0.500
0.664 0.664 0.000
0.093 0.586 0.749
0.414 0.916 0.749
0.586 0.093 0.251
0.916 0.414 0.251
```

Values from the calculation:
The formation energy comes out at -1.918 eV per atom. The calculation puts the total moment at 0.0 Bohr magnetons per cell.



6.
Below is a relaxed LiAlNiO3 crystal, with properties calculated at the GGA+U level.

Structure (POSCAR):
```
LiAlNiO3
1.0
-0.044 -0.073 5.741
2.408 4.601 2.871
-8.093 2.196 -2.679
O Ni Li Al
12 4 4 4
Direct
0.172 0.401 0.117
0.938 0.786 0.362
0.562 0.714 0.138
0.061 0.214 0.638
0.369 0.514 0.619
0.827 0.599 0.883
0.673 0.901 0.617
0.327 0.099 0.383
0.868 0.014 0.119
0.439 0.286 0.862
0.632 0.486 0.381
0.131 0.986 0.881
0.212 0.036 0.127
0.288 0.464 0.373
0.788 0.964 0.873
0.712 0.536 0.627
0.057 0.871 0.626
0.557 0.371 0.126
0.943 0.129 0.374
0.443 0.629 0.874
0.872 0.712 0.125
0.628 0.788 0.375
0.128 0.288 0.875
0.372 0.212 0.625
```

Values from the calculation:
The formation energy comes out at -2.380 eV per atom. The calculation puts the total moment at 0.0 Bohr magnetons per cell.



7.
Below is a relaxed Li2AlNi3O6 crystal, with properties calculated at the GGA+U level.

Structure (POSCAR):
```
Li2AlNi3O6
1.0
4.371 2.510 -0.005
-0.012 5.041 0.005
1.447 -0.835 9.572
Ni Li Al O
6 4 2 12
Direct
0.831 0.832 0.500
0.997 0.002 0.001
0.249 0.749 0.250
0.502 0.497 0.499
0.332 0.331 0.000
0.747 0.246 0.750
0.919 0.419 0.250
0.086 0.586 0.750
0.414 0.914 0.750
0.590 0.090 0.250
0.166 0.169 0.500
0.669 0.666 0.000
0.116 0.889 0.614
0.961 0.700 0.116
0.620 0.404 0.121
0.904 0.120 0.379
0.693 0.953 0.887
0.817 0.506 0.613
0.199 0.461 0.384
0.389 0.616 0.886
0.006 0.317 0.887
0.322 0.017 0.114
0.453 0.193 0.613
0.517 0.822 0.386
```

Values from the calculation:
The formation energy comes out at -1.918 eV per atom. The calculation puts the total moment at 6.0 Bohr magnetons per cell.



8.
Below is a relaxed LiAlNi3O5 crystal, with properties calculated at the GGA+U level.

Structure (POSCAR):
```
LiAlNi3O5
1.0
7.313 2.540 0.000
-7.313 2.540 0.000
0.000 1.791 4.834
O Ni Li Al
10 6 2 2
Direct
0.628 0.839 0.762
0.247 0.247 0.743
0.535 0.945 0.217
0.161 0.372 0.238
0.945 0.535 0.217
0.055 0.465 0.783
0.372 0.161 0.238
0.465 0.055 0.783
0.839 0.628 0.762
0.753 0.753 0.257
0.394 0.606 0.500
0.000 0.000 0.500
0.102 0.898 0.000
0.606 0.394 0.500
0.500 0.500 0.000
0.898 0.102 0.000
0.800 0.200 0.500
0.200 0.800 0.500
0.299 0.701 0.000
0.701 0.299 0.000
```

Values from the calculation:
The formation energy comes out at -1.924 eV per atom. The calculation puts the total moment at 12.0 Bohr magnetons per cell.



9.
Below is a relaxed Li2AlVO4 crystal, with properties calculated at the GGA+U level.

Structure (POSCAR):
```
Li2AlVO4
1.0
-3.871 2.478 1.950
-3.982 -4.664 -1.978
1.443 -5.311 9.616
Li O Al V
8 16 4 4
Direct
0.253 0.503 0.331
0.755 0.251 0.412
0.753 0.003 0.169
0.255 0.749 0.588
0.755 0.249 0.912
0.253 0.997 0.831
0.255 0.751 0.088
0.753 0.497 0.669
0.657 0.513 0.322
0.619 0.504 0.835
0.157 0.487 0.678
0.157 0.013 0.178
0.146 0.725 0.907
0.646 0.275 0.093
0.646 0.225 0.593
0.159 0.266 0.913
0.159 0.234 0.413
0.659 0.766 0.587
0.146 0.775 0.407
0.657 0.987 0.822
0.659 0.734 0.087
0.119 0.496 0.165
0.119 0.004 0.665
0.619 0.996 0.335
0.261 0.005 0.332
0.761 0.995 0.668
0.761 0.505 0.168
0.261 0.495 0.832
0.754 0.746 0.917
0.754 0.754 0.417
0.254 0.246 0.583
0.254 0.254 0.083
```

Values from the calculation:
The formation energy comes out at -2.698 eV per atom. The calculation puts the total moment at 8.0 Bohr magnetons per cell.



10.
Below is a relaxed Li2AlVO4 crystal, with properties calculated at the GGA+U level.

Structure (POSCAR):
```
Li2AlVO4
1.0
-2.626 1.417 7.158
5.123 5.894 -0.062
-5.095 5.871 0.027
V Li O Al
6 12 24 6
Direct
0.666 0.625 0.459
0.332 0.874 0.044
0.002 0.376 0.872
0.002 0.875 0.373
0.331 0.374 0.544
0.666 0.125 0.959
0.334 0.256 0.924
0.999 0.752 0.753
0.672 0.746 0.076
0.000 0.993 0.992
0.661 0.504 0.840
0.334 0.756 0.423
0.333 0.498 0.165
0.999 0.252 0.252
0.672 0.246 0.576
0.661 0.005 0.340
0.000 0.494 0.492
0.333 0.998 0.665
0.165 0.459 0.010
0.487 0.454 0.690
0.181 0.062 0.155
0.497 0.701 0.919
0.831 0.445 0.333
0.822 0.702 0.602
0.503 0.805 0.584
0.154 0.686 0.260
0.847 0.796 0.227
0.511 0.048 0.815
0.168 0.790 0.907
0.502 0.306 0.084
0.822 0.202 0.102
0.154 0.187 0.761
0.169 0.290 0.407
0.835 0.550 0.998
0.511 0.548 0.315
0.164 0.959 0.509
0.830 0.944 0.833
0.835 0.050 0.497
0.498 0.200 0.419
0.488 0.954 0.191
0.847 0.296 0.727
0.179 0.563 0.656
0.335 0.130 0.293
0.999 0.120 0.623
0.999 0.620 0.123
0.667 0.375 0.208
0.667 0.875 0.708
0.334 0.630 0.793
```

Values from the calculation:
The formation energy comes out at -2.764 eV per atom. The calculation puts the total moment at 0.0 Bohr magnetons per cell.



11.
Below is a relaxed Li2AlVO4 crystal, with properties calculated at the GGA+U level.

Structure (POSCAR):
```
Li2AlVO4
1.0
5.088 0.000 0.000
0.000 6.491 0.000
0.000 0.000 11.070
O Al Li V
16 4 8 4
Direct
0.706 0.641 0.837
0.794 0.641 0.337
0.304 0.593 0.159
0.667 0.375 0.595
0.833 0.375 0.095
0.294 0.141 0.163
0.747 0.861 0.071
0.167 0.875 0.905
0.247 0.361 0.429
0.753 0.861 0.571
0.333 0.875 0.405
0.696 0.093 0.841
0.206 0.141 0.663
0.804 0.093 0.341
0.196 0.593 0.659
0.253 0.361 0.929
0.184 0.366 0.085
0.816 0.866 0.915
0.684 0.866 0.415
0.316 0.366 0.585
0.191 0.617 0.336
0.256 0.869 0.581
0.809 0.117 0.664
0.244 0.869 0.081
0.309 0.617 0.836
0.744 0.369 0.419
0.756 0.369 0.919
0.691 0.117 0.164
0.188 0.120 0.332
0.812 0.620 0.668
0.688 0.620 0.168
0.312 0.120 0.832
```

Values from the calculation:
The formation energy comes out at -2.696 eV per atom. The calculation puts the total moment at 8.0 Bohr magnetons per cell.